DFT (r2SCAN) results for ScCuSe2 after structural relaxation.

The structure belongs to space group C2/m (No. 12); the cell edges are 14.291, 3.901 and 6.723 Å and the angles 90.00°, 117.29° and 90.00°. The inequivalent atoms are Sc at (0.243, 0.000, 0.235), Cu at (0.061, 0.500, 0.897), Se at (0.127, 0.000, 0.787) and Se at (0.130, 0.500, 0.305).

Its calculated formation energy is -1287.8 meV per atom. As for the crystal system: monoclinic.

***

DFT (r2SCAN) results for ScCuSe2 after structural relaxation.

The structure belongs to space group P2_1/c (No. 14); the cell edges are 9.233, 7.779 and 12.684 Å and the angles 90.00°, 133.02° and 90.00°. The inequivalent atoms are Sc at (0.001, 0.244, 0.005), Sc at (0.496, 0.001, 0.240), Cu at (0.167, 0.001, 0.895), Cu at (0.329, 0.250, 0.354), Se at (0.161, 0.504, 0.201), Se at (0.170, 0.505, 0.708), Se at (0.333, 0.243, 0.548) and Se at (0.334, 0.746, 0.042).

Its calculated formation energy is -1285.3 meV per atom. As for the crystal system: monoclinic.

***

DFT (r2SCAN) results for Sc3Cu4Si4 after structural relaxation.

The structure belongs to space group Immm (No. 71); the cell edges are 3.943, 6.390 and 13.046 Å and the angles 90.00°, 90.00° and 90.00°. The inequivalent atoms are Sc at (0.000, 0.000, 0.000), Sc at (0.000, 0.500, 0.126), Cu at (0.000, 0.306, 0.328), Si at (0.000, 0.000, 0.217) and Si at (0.000, 0.187, 0.500).

Its calculated formation energy is -645.5 meV per atom. As for the crystal system: orthorhombic.

***

DFT (r2SCAN) results for CuSe after structural relaxation.

The structure belongs to space group Cmcm (No. 63); the cell edges are 3.911, 7.035 and 17.081 Å and the angles 90.00°, 90.00° and 90.00°. The inequivalent atoms are Cu at (0.000, 0.070, 0.250), Cu at (0.000, 0.147, 0.613), Se at (0.000, 0.255, 0.750) and Se at (0.000, 0.481, 0.570).

Its calculated formation energy is -185.2 meV per atom. As for the crystal system: orthorhombic.

***

DFT (r2SCAN) results for CuSe2 after structural relaxation.

The structure belongs to space group Pa-3 (No. 205); the cell edges are 6.134, 6.134 and 6.134 Å and the angles 90.00°, 90.00° and 90.00°. The inequivalent atoms are Cu at (0.000, 0.000, 0.000) and Se at (0.110, 0.610, 0.890).

Its calculated formation energy is -127.4 meV per atom. As for the crystal system: cubic.

***

DFT (r2SCAN) results for Cu3Se2 after structural relaxation.

The structure belongs to space group P-42_1m (No. 113); the cell edges are 6.325, 6.325 and 4.318 Å and the angles 90.00°, 90.00° and 90.00°. The inequivalent atoms are Cu at (0.000, 0.000, 0.000), Cu at (0.144, 0.356, 0.240) and Se at (0.231, 0.731, 0.265).

Its calculated formation energy is -189.9 meV per atom. As for the crystal system: tetragonal.

***

DFT (r2SCAN) results for CuSe2 after structural relaxation.

The structure belongs to space group Pnnm (No. 58); the cell edges are 5.026, 6.164 and 3.781 Å and the angles 90.00°, 90.00° and 90.00°. The inequivalent atoms are Cu at (0.000, 0.000, 0.000) and Se at (0.186, 0.386, 0.000).

Its calculated formation energy is -133.9 meV per atom. As for the crystal system: orthorhombic.

***

DFT (r2SCAN) results for CuSe after structural relaxation.

The structure belongs to space group P4/nmm (No. 129, origin choice 2); the cell edges are 3.775, 3.775 and 5.438 Å and the angles 90.00°, 90.00° and 90.00°. The inequivalent atoms are Cu at (0.250, 0.750, 0.000) and Se at (0.250, 0.250, 0.277).

Its calculated formation energy is -131.4 meV per atom. As for the crystal system: tetragonal.

***

DFT (r2SCAN) results for Tb3CuSiSe7 after structural relaxation.

The structure belongs to space group P6_3 (No. 173); the cell edges are 10.3230, 10.3230 and 6.0207 Å and the angles 90.00°, 90.00° and 120.00°. The inequivalent atoms are Tb at (0.1331, 0.3563, 0.0000), Cu at (0.0000, 0.0000, 0.4528), Si at (0.3333, 0.6667, 0.5899), Se at (0.0990, 0.2597, 0.4677), Se at (0.1015, 0.5790, 0.7423) and Se at (0.3333, 0.6667, 0.2159).

Its calculated formation energy is -1546.6 meV per atom. As for the crystal system: hexagonal.

***

DFT (r2SCAN) results for Sm3CuSe6 after structural relaxation.

The structure belongs to space group P2_1/m (No. 11); the cell edges are 7.182, 17.073 and 7.918 Å and the angles 90.00°, 90.56° and 90.00°. The inequivalent atoms are Sm at (0.226, 0.091, 0.444), Sm at (0.244, 0.587, 0.059), Sm at (0.265, 0.250, 0.057), Sm at (0.267, 0.750, 0.446), Cu at (0.395, 0.529, 0.702), Se at (0.069, 0.177, 0.750), Se at (0.073, 0.000, 0.752), Se at (0.079, 0.678, 0.756), Se at (0.373, 0.250, 0.403), Se at (0.385, 0.750, 0.104), Se at (0.386, 0.081, 0.100) and Se at (0.392, 0.581, 0.410).

Its calculated formation energy is -1702.3 meV per atom. The energy above the most stable polymorph in this dataset is 0.000 eV/atom. As for the crystal system: monoclinic.

***

DFT (r2SCAN) results for Sm3CuSe6 after structural relaxation.

The structure belongs to space group Pca2_1 (No. 29); the cell edges are 7.900, 7.180 and 17.085 Å and the angles 90.00°, 90.00° and 90.00°. The inequivalent atoms are Sm at (0.055, 0.226, 0.000), Sm at (0.055, 0.266, 0.664), Sm at (0.059, 0.243, 0.322), Cu at (0.210, 0.595, 0.934), Se at (0.090, 0.389, 0.494), Se at (0.096, 0.384, 0.832), Se at (0.100, 0.379, 0.161), Se at (0.247, 0.926, 0.737), Se at (0.248, 0.924, 0.911) and Se at (0.248, 0.925, 0.591).

Its calculated formation energy is -1699.2 meV per atom. The energy above the most stable polymorph in this dataset is 0.003 eV/atom. As for the crystal system: orthorhombic.

***

DFT (r2SCAN) results for TbCuSe2 after structural relaxation.

The structure belongs to space group P2_1/c (No. 14); the cell edges are 6.599, 7.304 and 7.067 Å and the angles 90.00°, 96.24° and 90.00°. The inequivalent atoms are Tb at (0.194, 0.044, 0.299), Cu at (0.429, 0.658, 0.454), Se at (0.075, 0.725, 0.497) and Se at (0.403, 0.112, 0.719).

Its calculated formation energy is -1429.4 meV per atom. As for the crystal system: monoclinic.

***

DFT (r2SCAN) results for TbCuSe2 after structural relaxation.

The structure belongs to space group P3m1 (No. 156); the cell edges are 4.0910, 4.0910 and 6.3953 Å and the angles 90.00°, 90.00° and 120.00°. The inequivalent atoms are Tb at (0.0000, 0.0000, 0.0000), Cu at (0.6667, 0.3333, 0.3821), Se at (0.3333, 0.6667, 0.2739) and Se at (0.6667, 0.3333, 0.7616).

Its calculated formation energy is -1423.3 meV per atom. As for the crystal system: trigonal.

***

DFT (r2SCAN) results for U3Cu2Se7 after structural relaxation.

The structure belongs to space group P6_3 (No. 173); the cell edges are 10.1936, 10.1936 and 6.0245 Å and the angles 90.00°, 90.00° and 120.00°. The inequivalent atoms are U at (0.1526, 0.3792, 0.0000), Cu at (0.0000, 0.0000, 0.4597), Cu at (0.3333, 0.6667, 0.6235), Se at (0.0815, 0.5665, 0.7530), Se at (0.1098, 0.2614, 0.4783) and Se at (0.3333, 0.6667, 0.2249).

Its calculated formation energy is -1258.8 meV per atom. As for the crystal system: hexagonal.

***

DFT (r2SCAN) results for VCu3Se4 after structural relaxation.

The structure belongs to space group P-43m (No. 215); the cell edges are 5.575, 5.575 and 5.575 Å and the angles 90.00°, 90.00° and 90.00°. The inequivalent atoms are V at (0.000, 0.000, 0.000), Cu at (0.000, 0.000, 0.500) and Se at (0.243, 0.243, 0.243).

Its calculated formation energy is -571.9 meV per atom. As for the crystal system: cubic.

***

DFT (r2SCAN) results for Cu2WSe4 after structural relaxation.

The structure belongs to space group I-42m (No. 121); the cell edges are 5.560, 5.560 and 11.214 Å and the angles 90.00°, 90.00° and 90.00°. The inequivalent atoms are Cu at (0.000, 0.500, 0.000), W at (0.000, 0.000, 0.000) and Se at (0.242, 0.242, 0.875).

Its calculated formation energy is -400.7 meV per atom. As for the crystal system: tetragonal.

***

DFT (r2SCAN) results for Cu15Si4 after structural relaxation.

The structure belongs to space group I-43d (No. 220); the cell edges are 9.609, 9.609 and 9.609 Å and the angles 90.00°, 90.00° and 90.00°. The inequivalent atoms are Cu at (0.000, 0.250, 0.375), Cu at (0.039, 0.388, 0.163) and Si at (0.044, 0.456, 0.544).

Its calculated formation energy is -76.9 meV per atom. As for the crystal system: cubic.